(1)
LaMg2Si2 meta-GGA r2SCAN relaxed; space-group type = P4/mmm (123); magnetization = 0.00 μB per formula unit; formation enthalpy at 0 K = -50.5 kJ per mole of atoms
1.0
-1.672 -0.531 3.944
0.773 -4.240 -0.243
5.258 0.824 2.340
Mg Si La
2 2 1
Cartesian
1.793 0.147 3.142
3.015 -1.708 1.049
0.597 -2.221 2.316
3.762 -1.725 3.725
0.000 0.000 0.000

***

(2)
La2MgSi2 meta-GGA r2SCAN relaxed; space-group type = P4/mbm (127); magnetization = 0.00 μB per formula unit; formation enthalpy at 0 K = -70.3 kJ per mole of atoms
1.0
-6.229 -3.295 2.668
-2.667 -0.641 -7.018
1.964 -4.020 -0.379
La Si Mg
4 4 2
Cartesian
-3.736 -4.367 0.360
-0.994 -2.809 -1.952
-3.195 -3.589 -5.089
-5.938 -5.147 -2.777
-2.713 -1.349 0.244
-2.335 -0.764 -3.999
-6.182 -2.587 -4.593
-6.561 -3.172 -0.351
0.000 0.000 0.000
-4.448 -1.968 -2.175

***

(3)
LaSmMg2 meta-GGA r2SCAN relaxed; space-group type = Fm-3m (225); magnetization = 0.00 μB per formula unit; formation enthalpy at 0 K = -10.8 kJ per mole of atoms
1.0
0.000 3.910 3.910
3.910 0.000 3.910
3.910 3.910 0.000
La Mg Sm
1 2 1
Cartesian
3.910 3.910 3.910
1.955 1.955 1.955
5.866 5.866 5.866
0.000 0.000 0.000

***

(4)
La2MgTl meta-GGA r2SCAN relaxed; space-group type = Fm-3m (225); magnetization = 0.01 μB per formula unit; formation enthalpy at 0 K = -33.2 kJ per mole of atoms
1.0
-1.945 -5.259 -0.249
-5.254 -0.970 -1.720
-0.921 -2.419 -4.980
La Mg Tl
2 1 1
Cartesian
-4.060 -4.324 -3.474
0.000 0.000 0.000
-2.030 -2.162 -1.737
-6.090 -6.486 -5.211